A plane-wave DFT calculation with PBE was carried out for Mg14ZnSi after structural relaxation. Values from VASP.

## Properties
Size of the total moment (μB per atom): 0.000
E above lowest polymorph (eV/f.u.): 0.00
Total DFT energy (no corrections) (eV per atom): -1.81
Energy of formation (eV/atom): 0.015

Structure (Quantum ESPRESSO input):
```
&SYSTEM
  ibrav = 0, nat = 16, ntyp = 3
/
ATOMIC_SPECIES
Mg 24.30 Mg.upf
Zn 65.41 Zn.upf
Si 28.09 Si.upf
ATOMIC_POSITIONS crystal
Mg 0.000 0.000 0.249
Mg 0.000 0.000 0.751
Mg 0.004 0.502 0.250
Mg 0.004 0.502 0.750
Mg 0.333 0.166 0.500
Mg 0.333 0.167 0.000
Mg 0.498 0.502 0.250
Mg 0.498 0.502 0.750
Mg 0.498 0.996 0.250
Mg 0.498 0.996 0.750
Mg 0.833 0.167 0.000
Mg 0.833 0.667 0.000
Mg 0.834 0.166 0.500
Mg 0.834 0.667 0.500
Zn 0.333 0.667 0.000
Si 0.333 0.667 0.500
CELL_PARAMETERS angstrom
6.232 0.000 0.000
-3.116 5.397 0.000
0.000 0.000 10.253
```

---

A plane-wave DFT calculation with PBE was carried out for Mg6ZnSi after structural relaxation. Values from VASP.

## Properties
Size of the total moment (μB per atom): 0.000
Total DFT energy (no corrections) (eV per atom): -1.99
Energy of formation (eV/atom): 0.051

Structure (Quantum ESPRESSO input):
```
&SYSTEM
  ibrav = 0, nat = 16, ntyp = 3
/
ATOMIC_SPECIES
Mg 24.30 Mg.upf
Zn 65.41 Zn.upf
Si 28.09 Si.upf
ATOMIC_POSITIONS crystal
Mg 0.500 0.744 0.409
Mg 0.500 0.244 0.909
Mg 0.500 0.500 0.664
Mg 0.000 0.243 0.589
Mg 0.500 0.256 0.409
Mg 0.000 0.500 0.834
Mg 0.000 0.257 0.089
Mg 0.500 0.000 0.164
Mg 0.000 0.000 0.334
Mg 0.000 0.757 0.589
Mg 0.500 0.756 0.909
Mg 0.000 0.743 0.089
Zn 0.000 0.000 0.846
Zn 0.000 0.500 0.346
Si 0.500 0.000 0.658
Si 0.500 0.500 0.158
CELL_PARAMETERS angstrom
4.979 0.000 0.000
0.000 6.096 0.000
0.000 0.000 10.701
```

---

A plane-wave DFT calculation with PBE was carried out for Mg6ZnSi after structural relaxation. Values from VASP.

## Properties
Size of the total moment (μB per atom): 0.000
Total DFT energy (no corrections) (eV per atom): -1.99
Energy of formation (eV/atom): 0.050

Structure (Quantum ESPRESSO input):
```
&SYSTEM
  ibrav = 0, nat = 16, ntyp = 3
/
ATOMIC_SPECIES
Si 28.09 Si.upf
Mg 24.30 Mg.upf
Zn 65.41 Zn.upf
ATOMIC_POSITIONS crystal
Si 0.500 0.500 0.834
Si 0.500 0.000 0.334
Mg 0.000 0.751 0.912
Mg 0.000 0.251 0.412
Mg 0.000 0.500 0.669
Mg 0.000 0.249 0.912
Mg 0.000 0.000 0.169
Mg 0.000 0.749 0.412
Mg 0.500 0.751 0.585
Mg 0.000 0.500 0.169
Mg 0.500 0.749 0.085
Mg 0.500 0.251 0.085
Mg 0.000 0.000 0.669
Mg 0.500 0.249 0.585
Zn 0.500 0.000 0.834
Zn 0.500 0.500 0.334
CELL_PARAMETERS angstrom
-4.763 -0.757 0.056
0.634 -3.595 5.311
-1.279 8.484 5.895
```